Density functional theory data (GGA+U) for an optimized crystal structure of Li2Mn15O32.

Cell and atoms, written as extended XYZ:
```
49
Lattice="2.916 1.683 19.093 -2.916 1.683 19.093 0.000 -3.367 19.093" Properties=species:S:1:pos:R:3 pbc="T T T"
Li 0.000 0.000 0.000
Li 0.000 0.000 17.846
Mn -1.483 -0.856 20.836
Mn 0.000 -1.685 11.325
Mn -1.459 0.842 11.325
Mn 0.000 0.000 3.485
Mn 0.000 0.000 8.921
Mn 0.000 -1.649 25.641
Mn -1.428 0.824 25.641
Mn -1.438 -0.830 35.215
Mn 1.459 0.842 11.325
Mn 1.483 -0.856 20.836
Mn 0.000 1.713 20.836
Mn 1.428 0.824 25.641
Mn 1.438 -0.830 35.215
Mn 0.000 1.660 35.215
Mn 0.000 0.000 51.923
O 0.000 -1.897 14.986
O -1.643 0.949 14.986
O 0.000 0.000 5.502
O -1.367 -0.789 24.689
O -1.633 -0.943 31.537
O 0.000 0.000 12.300
O 0.000 -1.558 21.924
O -1.350 0.779 21.924
O 0.000 -1.886 29.293
O -1.633 0.943 29.293
O 0.000 0.000 19.863
O -1.369 -0.791 38.976
O -1.641 -0.948 45.851
O 0.000 0.000 26.653
O 0.000 -1.599 36.160
O -1.385 0.800 36.160
O 1.367 -0.789 24.689
O 0.000 1.578 24.689
O 0.000 0.000 34.211
O 1.643 0.949 14.986
O 1.350 0.779 21.924
O 0.000 0.000 40.951
O 1.633 -0.943 31.537
O 0.000 1.885 31.537
O 1.369 -0.791 38.976
O 0.000 1.581 38.976
O 0.000 0.000 48.533
O 1.633 0.943 29.293
O 1.385 0.800 36.160
O 0.000 0.000 55.311
O 1.641 -0.948 45.851
O 0.000 1.895 45.851
```

The energy of formation is -1707 meV/atom. As for the space-group type: R3m.